MgCo2P2O8 PBE with a Hubbard U relaxed; calculated volume = 165 Å³/f.u.; DFT formation energy = -2.477 eV/atom
1.0
2.0173 -0.2519 4.6814
-5.7059 4.7748 2.0620
-4.8959 -6.6138 1.7531
O Co P Mg
16 4 4 2
direct
0.5496 0.8593 0.4213
0.4457 0.7586 0.1383
0.0490 0.3592 0.0788
0.9509 0.6407 0.9212
0.1918 0.3750 0.6939
0.8198 0.0611 0.1391
0.6921 0.8751 0.8061
0.9454 0.2587 0.3617
0.3201 0.5613 0.3610
0.3079 0.1249 0.1939
0.4504 0.1407 0.5787
0.0546 0.7413 0.6383
0.1801 0.9389 0.8609
0.5543 0.2414 0.8617
0.8082 0.6250 0.3061
0.6799 0.4388 0.6390
0.5908 0.1138 0.3587
0.9089 0.3862 0.8587
0.4092 0.8862 0.6413
0.0911 0.6138 0.1413
0.9648 0.8001 0.8065
0.4644 0.3001 0.6935
0.5356 0.6999 0.3065
0.0352 0.1998 0.1935
0.5000 0.0000 0.0000
0.0000 0.5000 0.5000